Li2VFeP4O14: optimized geometry, GGA+U.

a b c (Å): 7.0412 8.2528 14.0514
angles (deg): 89.98 99.42 90.14
With the nearest neighbours (Å) after each atom.
Sites, in units of the cell vectors:
1 P 0.6514 0.7844 0.7373  4 O 1.52-1.63
2 P 0.6810 0.2831 0.5957  4 O 1.52-1.62
3 P 0.6112 0.1795 0.1331  4 O 1.53-1.62
4 P 0.0550 0.6811 0.5331  4 O 1.53-1.62
5 P 0.7221 0.6794 0.2001  4 O 1.53-1.61
6 P 0.9846 0.7841 0.0704  4 O 1.52-1.63
7 P 0.3892 0.6811 0.8667  4 O 1.53-1.61
8 P 0.3190 0.7832 0.4042  4 O 1.52-1.62
9 P 0.0146 0.2829 0.9292  4 O 1.52-1.62
10 P 0.9450 0.1812 0.4669  4 O 1.53-1.62
11 P 0.2789 0.1795 0.8001  4 O 1.53-1.62
12 P 0.3488 0.2841 0.2628  4 O 1.52-1.63
13 O 0.2221 0.6529 0.4685  2 P 1.62
14 O 0.0867 0.5384 0.6042  1 P 1.54
15 O 0.5547 0.6532 0.8015  2 P 1.61-1.63
16 O 0.5770 0.3436 0.0822  1 P 1.53
17 O 0.1641 0.3228 0.0172  1 P 1.52
18 O 0.1939 0.6790 0.7993  1 P 1.54
19 O 0.8352 0.8252 0.9826  1 P 1.52
20 O 0.2467 0.0369 0.7294  1 P 1.53
21 O 0.4199 0.5382 0.9375  1 P 1.54
22 O 0.7777 0.1530 0.5316  2 P 1.62
23 O 0.1110 0.1529 0.8650  2 P 1.62
24 O 0.8252 0.6966 0.7100  1 P 1.53
25 O 0.9132 0.0384 0.3958  1 P 1.54
26 O 0.9077 0.3455 0.4158  1 P 1.54
27 O 0.9495 0.4333 0.8680  1 P 1.54
28 O 0.4981 0.3252 0.3507  1 P 1.52
29 O 0.0496 0.9343 0.1322  1 P 1.54
30 O 0.8306 0.3228 0.6837  1 P 1.52
31 O 0.8881 0.6531 0.1348  2 P 1.61-1.63
32 O 0.7530 0.5368 0.2707  1 P 1.53
33 O 0.2433 0.3436 0.7489  1 P 1.54
34 O 0.5802 0.0367 0.0627  1 P 1.53
35 O 0.1694 0.8228 0.3163  1 P 1.52
36 O 0.1747 0.1964 0.2902  1 P 1.52
37 O 0.1584 0.6965 0.0432  1 P 1.52
38 O 0.4733 0.1785 0.8675  1 P 1.53
39 O 0.2839 0.4342 0.2012  1 P 1.54
40 O 0.5060 0.1940 0.6226  1 P 1.53
41 O 0.1397 0.1791 0.5340  1 P 1.53
42 O 0.7150 0.9336 0.7996  1 P 1.53
43 O 0.8604 0.6790 0.4660  1 P 1.53
44 O 0.8064 0.1785 0.2009  1 P 1.54
45 O 0.6173 0.4328 0.5338  1 P 1.53
46 O 0.8393 0.1939 0.9560  1 P 1.53
47 O 0.0924 0.8454 0.5843  1 P 1.54
48 O 0.4451 0.1532 0.1986  2 P 1.62-1.63
49 O 0.5270 0.6784 0.1324  1 P 1.54
50 O 0.4254 0.8454 0.9176  1 P 1.53
51 O 0.5020 0.8252 0.6494  1 P 1.52
52 O 0.3829 0.9328 0.4662  1 P 1.54
53 O 0.7564 0.8435 0.2512  1 P 1.53
54 O 0.4938 0.6941 0.3774  1 P 1.53
55 Fe 0.6733 0.4990 0.4054  6 O 1.96-2.08
56 Fe 0.6600 0.9993 0.9277  6 O 1.97-2.09
57 Fe 0.3267 0.9990 0.5946  6 O 1.97-2.09
58 V 0.9897 0.9994 0.2611  6 O 2.00-2.08
59 V 0.0102 0.4992 0.7387  6 O 2.00-2.09
60 V 0.3436 0.4994 0.0723  6 O 2.00-2.09
61 Li 0.9510 0.3634 0.2747  4 O 1.99-2.08
62 Li 0.6172 0.3627 0.9413  4 O 2.00-2.08
63 Li 0.7162 0.8627 0.3920  4 O 2.00-2.08
64 Li 0.2838 0.3627 0.6080  4 O 2.00-2.08
65 Li 0.3823 0.8634 0.0587  4 O 1.99-2.08
66 Li 0.0491 0.8635 0.7253  4 O 1.99-2.08

Summary:
SG: No. 1
M_tot (μB/cell): 21.00
Total energy (eV/atom): -7.116
Formation energy (meV/atom): -2628.7